PBE+U Li2NiP2O7, relaxed; energy relative to the lowest polymorph listed for this composition = 73 kJ/mol of formula units; calculated density = 2.9 g cm⁻³; final energy = -6.42 eV/atom; energy relative to the elements = -2.445 eV/atom
1.0
6.451 3.942 0.000
-6.451 3.942 0.000
0.000 0.460 10.950
Li P O Ni
8 8 28 4
direct
0.281 0.705 0.002 Li
0.707 0.293 0.250 Li
0.705 0.281 0.502 Li
0.295 0.719 0.498 Li
0.719 0.295 0.998 Li
0.284 0.716 0.250 Li
0.716 0.284 0.750 Li
0.293 0.707 0.750 Li
0.297 0.085 0.368 P
0.915 0.703 0.132 P
0.091 0.318 0.366 P
0.682 0.909 0.134 P
0.909 0.682 0.634 P
0.318 0.091 0.866 P
0.085 0.297 0.868 P
0.703 0.915 0.632 P
0.580 0.802 0.257 O
0.802 0.580 0.757 O
0.281 0.878 0.874 O
0.408 0.197 0.248 O
0.198 0.420 0.243 O
0.242 0.867 0.374 O
0.592 0.803 0.752 O
0.099 0.086 0.873 O
0.197 0.415 0.979 O
0.782 0.569 0.525 O
0.719 0.122 0.126 O
0.415 0.197 0.479 O
0.086 0.099 0.373 O
0.914 0.901 0.627 O
0.803 0.585 0.021 O
0.569 0.782 0.025 O
0.420 0.198 0.743 O
0.867 0.242 0.874 O
0.878 0.281 0.374 O
0.218 0.431 0.475 O
0.133 0.758 0.126 O
0.803 0.592 0.252 O
0.431 0.218 0.975 O
0.758 0.133 0.626 O
0.197 0.408 0.748 O
0.122 0.719 0.626 O
0.901 0.914 0.127 O
0.585 0.803 0.521 O
0.303 0.304 0.113 Ni
0.696 0.697 0.387 Ni
0.697 0.696 0.887 Ni
0.304 0.303 0.613 Ni